(1)
A relaxed structure of Bi12Ir12O41. Source: the Materials Project, functional PBE.

Lattice parameters (Å, degrees): 7.3568 7.3568 54.0185 90.00 90.00 120.00
Space group P3m1 (No. 156)
Asymmetric unit:
Bi (0.0000, 0.0000, 0.0000) x1
Bi (0.0000, 0.0000, 0.3277) x1
Bi (0.0000, 0.0000, 0.6639) x1
Bi (0.0001, 0.5000, 0.4973) x3
Bi (0.9999, 0.4999, 0.8306) x3
Bi (0.1612, 0.3224, 0.0520) x3
Bi (0.1660, 0.3320, 0.3855) x3
Bi (0.1667, 0.3334, 0.7195) x3
Bi (0.3223, 0.1611, 0.2754) x3
Bi (0.3321, 0.1661, 0.9424) x3
Bi (0.3333, 0.1667, 0.6084) x3
Bi (0.3333, 0.6667, 0.1085) x1
Bi (0.3333, 0.6667, 0.4415) x1
Bi (0.3333, 0.6667, 0.7751) x1
Bi (0.5059, 0.0117, 0.1650) x3
Bi (0.6667, 0.3333, 0.2182) x1
Bi (0.6667, 0.3333, 0.5529) x1
Bi (0.6667, 0.3333, 0.8863) x1
Ir (0.0000, 0.0000, 0.1638) x1
Ir (0.0000, 0.0000, 0.4973) x1
Ir (0.0000, 0.0000, 0.8306) x1
Ir (0.0000, 0.5000, 0.3305) x3
Ir (0.9999, 0.5000, 0.6639) x3
Ir (0.9998, 0.4999, 0.9972) x3
Ir (0.1664, 0.3329, 0.8862) x3
Ir (0.1666, 0.3332, 0.5529) x3
Ir (0.1670, 0.3340, 0.2195) x3
Ir (0.3331, 0.1665, 0.4418) x3
Ir (0.3334, 0.1667, 0.7751) x3
Ir (0.3333, 0.6667, 0.2750) x1
Ir (0.3333, 0.6667, 0.6084) x1
Ir (0.3333, 0.6667, 0.9417) x1
Ir (0.3337, 0.1669, 0.1084) x3
Ir (0.6667, 0.3333, 0.0529) x1
Ir (0.6667, 0.3333, 0.3862) x1
Ir (0.6667, 0.3333, 0.7195) x1
O (0.0000, 0.0000, 0.3682) x1
O (0.0000, 0.0000, 0.6224) x1
O (0.0000, 0.0000, 0.7055) x1
O (0.0000, 0.0000, 0.9597) x1
O (0.0539, 0.5269, 0.2935) x3
O (0.0562, 0.5281, 0.9604) x3
O (0.0582, 0.5291, 0.2104) x3
O (0.0579, 0.5289, 0.5438) x3
O (0.0576, 0.5288, 0.6271) x3
O (0.0580, 0.5290, 0.8771) x3
O (0.1377, 0.2753, 0.4327) x3
O (0.1377, 0.2753, 0.7660) x3
O (0.1379, 0.2758, 0.5160) x3
O (0.1379, 0.2757, 0.8493) x3
O (0.1386, 0.2772, 0.0987) x3
O (0.1395, 0.2791, 0.1824) x3
O (0.1941, 0.3882, 0.3396) x3
O (0.1954, 0.3909, 0.9230) x3
O (0.1957, 0.3914, 0.0062) x3
O (0.1955, 0.3910, 0.5897) x3
O (0.1956, 0.3912, 0.6730) x3
O (0.1958, 0.3916, 0.2564) x3
O (0.2741, 0.1371, 0.1452) x3
O (0.2749, 0.1374, 0.8952) x3
O (0.2754, 0.1377, 0.5619) x3
O (0.2760, 0.1380, 0.4786) x3
O (0.2756, 0.1378, 0.8119) x3
O (0.2794, 0.1397, 0.2289) x3
O (0.3333, 0.6667, 0.0642) x1
O (0.3333, 0.6667, 0.1525) x1
O (0.3333, 0.6667, 0.3994) x1
O (0.3333, 0.6667, 0.4832) x1
O (0.3333, 0.6667, 0.7335) x1
O (0.3333, 0.6667, 0.8166) x1
O (0.3886, 0.1943, 0.9884) x3
O (0.3905, 0.1953, 0.4048) x3
O (0.3909, 0.1955, 0.7382) x3
O (0.3913, 0.1957, 0.3217) x3
O (0.3912, 0.1956, 0.6549) x3
O (0.3928, 0.1964, 0.0716) x3
O (0.5271, 0.0541, 0.0344) x3
O (0.5282, 0.0564, 0.1180) x3
O (0.5279, 0.0559, 0.3676) x3
O (0.5289, 0.0578, 0.4508) x3
O (0.5288, 0.0575, 0.7008) x3
O (0.5290, 0.0580, 0.7841) x3
O (0.6667, 0.3333, 0.2611) x1
O (0.6667, 0.3333, 0.5113) x1
O (0.6667, 0.3333, 0.5944) x1
O (0.6667, 0.3333, 0.8447) x1
O (0.6667, 0.3333, 0.9285) x1



(2)
A relaxed structure of BiIrS. Source: the Materials Project, functional PBE.

Lattice parameters (Å, degrees): 6.2191 6.2191 6.2191 90.00 90.00 90.00
Space group P2_13 (No. 198)
Asymmetric unit:
Bi (0.1286, 0.3714, 0.6286) x4
Ir (0.0226, 0.9774, 0.4774) x4
S (0.1183, 0.1183, 0.1183) x4



(3)
A relaxed structure of KBi. Source: the Materials Project, functional PBE.

Lattice parameters (Å, degrees): 14.5661 7.4158 13.7215 90.00 113.38 90.00
Space group P2_1/c (No. 14)
Asymmetric unit:
K (0.1047, 0.1987, 0.4609) x4
K (0.1538, 0.5722, 0.6918) x4
K (0.3488, 0.6395, 0.0540) x4
K (0.3799, 0.1178, 0.8527) x4
Bi (0.0785, 0.7027, 0.3870) x4
Bi (0.1070, 0.0643, 0.7267) x4
Bi (0.3895, 0.1281, 0.1291) x4
Bi (0.4262, 0.6289, 0.8168) x4



(4)
A relaxed structure of K3Bi. Source: the Materials Project, functional PBE.

Lattice parameters (Å, degrees): 10.8109 10.8109 11.0907 90.00 90.00 120.00
Space group P6_3cm (No. 185)
Asymmetric unit:
K (0.0000, 0.0000, 0.0000) x2
K (0.0000, 0.3109, 0.2970) x6
K (0.0000, 0.3536, 0.6357) x6
K (0.3333, 0.6667, 0.4465) x4
Bi (0.0000, 0.3320, 0.9667) x6

Values from the calculation:
Energy relative to the lowest polymorph listed for this composition ... 0.0 meV per atom



(5)
A relaxed structure of KBi2. Source: the Materials Project, functional PBE.

Lattice parameters (Å, degrees): 9.6041 9.6041 9.6041 90.00 90.00 90.00
Space group Fd-3m (No. 227, origin choice 2)
Asymmetric unit:
K (0.1250, 0.1250, 0.1250) x8
Bi (0.0000, 0.0000, 0.5000) x16



(6)
A relaxed structure of K3Bi. Source: the Materials Project, functional PBE.

Lattice parameters (Å, degrees): 6.2457 6.2457 11.0928 90.00 90.00 120.00
Space group P6_3/mmc (No. 194)
Asymmetric unit:
K (0.0000, 0.0000, 0.2500) x2
K (0.3333, 0.6667, 0.0819) x4
Bi (0.3333, 0.6667, 0.7500) x2

Values from the calculation:
Energy relative to the lowest polymorph listed for this composition ... 0.0 meV per atom



One value per record, in order, for energy: -1262.9, -70.5, -91.2, -52.1, -79.1, -17.4 eV for the cell shown.
One value per record, in order, for density: 10.763, 11.964, 4.844, 2.896, 6.854, 2.892 g/cm³.
One value per record, in order, for energy relative to the elements: -1439, -419, -350, -365, -333, -365 meV/atom.